Tb3CrSe6 | the Materials Project database | r²SCAN | optimized geometry; DFT formation energy = -1846 meV per atom; magnetization = 3.0 μB per formula unit; E_tot = -213.1 eV/f.u.
1.0
-3.0675 0.6564 -2.3814
8.1969 -2.0064 -11.1114
-3.6872 -16.3726 0.2365
Tb Cr Se
12 4 24
Direct
0.0000 0.3196 0.1481
0.0000 0.6804 0.8519
0.5000 0.8196 0.3519
0.5000 0.1804 0.6481
0.0000 0.5512 0.2778
0.0000 0.4488 0.7222
0.5000 0.0512 0.2222
0.5000 0.9488 0.7778
0.0000 0.7572 0.0968
0.0000 0.2428 0.9032
0.5000 0.2572 0.4032
0.5000 0.7428 0.5968
0.0000 0.0000 0.5000
0.5000 0.5000 0.0000
0.0000 0.0000 0.0000
0.5000 0.5000 0.5000
0.0000 0.1028 0.7543
0.0000 0.8972 0.2457
0.5000 0.6028 0.7457
0.5000 0.3972 0.2543
0.0000 0.1207 0.1091
0.0000 0.8793 0.8909
0.5000 0.6207 0.3909
0.5000 0.3793 0.6091
0.0000 0.1904 0.2902
0.0000 0.8096 0.7098
0.5000 0.6904 0.2098
0.5000 0.3096 0.7902
0.0000 0.1807 0.5206
0.0000 0.8193 0.4794
0.5000 0.6807 0.9794
0.5000 0.3193 0.0206
0.0000 0.4180 0.4235
0.0000 0.5820 0.5765
0.5000 0.9180 0.0765
0.5000 0.0820 0.9235
0.0000 0.5228 0.0979
0.0000 0.4772 0.9021
0.5000 0.0228 0.4021
0.5000 0.9772 0.5979

***

MgO | the Materials Project database | r²SCAN | optimized geometry; DFT formation energy = -2901 meV per atom; magnetization = 0.0 μB per formula unit; E_tot = -15.9 eV/f.u.
1.0
9.8244 -4.8559 -2.7724
10.4821 -1.7195 3.8669
-11.2992 -0.2044 -0.2656
Mg O
12 12
Direct
0.8803 0.5475 0.3328
0.1197 0.4525 0.6672
0.7853 0.9525 0.8328
0.2147 0.0475 0.1672
0.0439 0.7095 0.3344
0.9561 0.2905 0.6656
0.6249 0.7905 0.8344
0.3751 0.2095 0.1656
0.7932 0.1283 0.6649
0.2068 0.8717 0.3351
0.5367 0.3717 0.1649
0.4633 0.6283 0.8351
0.7939 0.6283 0.1655
0.2061 0.3717 0.8345
0.5372 0.8717 0.6655
0.4628 0.1283 0.3345
0.8763 0.0476 0.8287
0.1237 0.9524 0.1713
0.7812 0.4524 0.3287
0.2188 0.5476 0.6713
0.0437 0.2094 0.8343
0.9563 0.7906 0.1657
0.6249 0.2906 0.3343
0.3751 0.7094 0.6657

***

KCaMg14 | the Materials Project database | r²SCAN | optimized geometry; DFT formation energy = 124 meV per atom; magnetization = 0.0 μB per formula unit; E_tot = -69.4 eV/f.u.
1.0
-1.2615 -3.1671 5.7348
6.1166 1.6317 -1.4243
-1.3660 9.3795 4.8794
K Ca Mg
1 1 14
Direct
0.1648 0.8324 0.1250
0.1719 0.3359 0.1250
0.1576 0.3288 0.6250
0.1594 0.8297 0.6250
0.6640 0.3300 0.1250
0.6677 0.3324 0.6250
0.6640 0.8340 0.1250
0.6677 0.8353 0.6250
0.3443 0.1750 0.3934
0.3443 0.1750 0.8566
0.3443 0.6693 0.3934
0.3443 0.6693 0.8566
0.8271 0.1636 0.3773
0.8271 0.1636 0.8727
0.8258 0.6629 0.3829
0.8258 0.6629 0.8671

***

Co3W | the Materials Project database | r²SCAN | optimized geometry; DFT formation energy = 147 meV per atom; magnetization = 1.0 μB per formula unit; E_tot = -90.5 eV/f.u.
1.0
-2.9745 -1.4393 -1.3427
1.9566 -1.8993 -2.2986
0.2126 -2.6542 2.3742
Co W
3 1
Direct
0.5000 0.5000 0.0000
0.5000 0.0000 0.5000
0.0000 0.5000 0.5000
0.0000 0.0000 0.0000